(1)
Material: AlH8C3NCl2
Method: DFT, PBE
State: relaxed

```
data_AlH8C3NCl2
_cell_length_a 7.7266
_cell_length_b 8.1401
_cell_length_c 8.8484
_cell_angle_alpha 90.03
_cell_angle_beta 115.23
_cell_angle_gamma 111.91
_symmetry_space_group_name_H-M 'P -1'
_symmetry_Int_Tables_number 2
loop_
_symmetry_equiv_pos_as_xyz
'x,y,z'
'-x,-y,-z'
loop_
_atom_site_label
_atom_site_fract_x
_atom_site_fract_y
_atom_site_fract_z
Al1 0.0561 0.3743 0.0934
H1 0.0890 0.3918 0.7684
H2 0.1028 0.8326 0.2714
H3 0.1708 0.6733 0.3956
H4 0.3197 0.1614 0.6110
H5 0.3723 0.8938 0.1842
H6 0.4020 0.7163 0.0968
H7 0.4892 0.3822 0.6149
H8 0.4985 0.1893 0.5286
C1 0.0769 0.6898 0.2677
C2 0.3626 0.7556 0.1925
C3 0.4792 0.2452 0.6303
N1 0.1370 0.6341 0.1431
Cl1 0.1014 0.7705 0.7692
Cl2 0.3009 0.3019 0.1096
```

=====

(2)
# AlSi2HC6NCl3 (PBE, relaxed)
data_AlSi2HC6NCl3
_cell_length_a 9.5201
_cell_length_b 16.6726
_cell_length_c 17.8407
_cell_angle_alpha 90.00
_cell_angle_beta 90.00
_cell_angle_gamma 90.00
_symmetry_space_group_name_H-M 'P b c a'
_symmetry_Int_Tables_number 61
loop_
_symmetry_equiv_pos_as_xyz
'x,y,z'
'-x,-y,-z'
'-x+1/2,-y,z+1/2'
'x+1/2,y,-z+1/2'
'x+1/2,-y+1/2,-z'
'-x+1/2,y+1/2,z'
'-x,y+1/2,-z+1/2'
'x,-y+1/2,z+1/2'
loop_
_atom_site_label
_atom_site_fract_x
_atom_site_fract_y
_atom_site_fract_z
Al1 0.0293 0.0962 0.1344
Si1 0.1407 0.5674 0.0974
Si2 0.1621 0.1841 0.8820
H1 0.1663 0.0181 0.0402
C1 0.0045 0.2229 0.8207
C2 0.0148 0.5329 0.0226
C3 0.0168 0.2296 0.3838
C4 0.0213 0.1110 0.4724
C5 0.0252 0.6604 0.0858
C6 0.0680 0.1640 0.7859
N1 0.1872 0.0599 0.0815
Cl1 0.0044 0.2227 0.1140
Cl2 0.0627 0.0678 0.2513
Cl3 0.1504 0.5320 0.4094
# Energy relative to the lowest polymorph listed for this composition   41.9 meV/atom

=====

(3)
# AlSi2HC6NCl3 (PBE, relaxed)
data_AlSi2HC6NCl3
_cell_length_a 9.1055
_cell_length_b 17.6094
_cell_length_c 16.4802
_cell_angle_alpha 90.00
_cell_angle_beta 90.00
_cell_angle_gamma 90.00
_symmetry_space_group_name_H-M 'P b c a'
_symmetry_Int_Tables_number 61
loop_
_symmetry_equiv_pos_as_xyz
'x,y,z'
'-x,-y,-z'
'-x+1/2,-y,z+1/2'
'x+1/2,y,-z+1/2'
'x+1/2,-y+1/2,-z'
'-x+1/2,y+1/2,z'
'-x,y+1/2,-z+1/2'
'x,-y+1/2,z+1/2'
loop_
_atom_site_label
_atom_site_fract_x
_atom_site_fract_y
_atom_site_fract_z
Al1 0.0175 0.0867 0.1496
Si1 0.1200 0.5706 0.1109
Si2 0.1618 0.1845 0.9092
H1 0.1781 0.0076 0.0790
C1 0.9999 0.2173 0.8401
C2 0.0132 0.5334 0.0225
C3 0.0145 0.6575 0.0787
C4 0.0254 0.2281 0.3991
C5 0.0360 0.1067 0.4829
C6 0.0496 0.1517 0.8143
N1 0.1977 0.0544 0.1150
Cl1 0.0027 0.5293 0.2214
Cl2 0.0185 0.7050 0.3386
Cl3 0.1472 0.5305 0.4193
# Energy relative to the lowest polymorph listed for this composition   0.0 meV/atom

=====

(4)
Material: Al6H16C5Cl12O6
Method: DFT, PBE
State: relaxed

```
data_Al6H16C5Cl12O6
_cell_length_a 8.9898
_cell_length_b 10.1635
_cell_length_c 19.2183
_cell_angle_alpha 99.46
_cell_angle_beta 91.62
_cell_angle_gamma 112.25
_symmetry_space_group_name_H-M 'P -1'
_symmetry_Int_Tables_number 2
loop_
_symmetry_equiv_pos_as_xyz
'x,y,z'
'-x,-y,-z'
loop_
_atom_site_label
_atom_site_fract_x
_atom_site_fract_y
_atom_site_fract_z
Al1 0.0254 0.2249 0.1300
Al2 0.0751 0.4873 0.8432
Al3 0.1213 0.8220 0.6117
Al4 0.2967 0.5487 0.1553
Al5 0.3778 0.7124 0.5339
Al6 0.4692 0.9162 0.6976
H1 0.0177 0.7458 0.4614
H2 0.0617 0.6545 0.7707
H3 0.0711 0.7889 0.1336
H4 0.1611 0.7273 0.0592
H5 0.1735 0.0925 0.6956
H6 0.1726 0.6961 0.4234
H7 0.2070 0.8845 0.4487
H8 0.2247 0.2091 0.0212
H9 0.2834 0.8309 0.1406
H10 0.3314 0.1132 0.7605
H11 0.3711 0.2632 0.3075
H12 0.3779 0.3875 0.0306
H13 0.3814 0.1809 0.6795
H14 0.3898 0.2717 0.0902
H15 0.4233 0.3761 0.3935
H16 0.4383 0.5832 0.6736
C1 0.1485 0.7767 0.4616
C2 0.1652 0.7496 0.1169
C3 0.2961 0.0959 0.7037
C4 0.3085 0.3031 0.0591
C5 0.4712 0.3306 0.3480
Cl1 0.0411 0.6310 0.6577
Cl2 0.0499 0.0921 0.4105
Cl3 0.0746 0.1020 0.1998
Cl4 0.1316 0.9011 0.9615
Cl5 0.1489 0.3823 0.7549
Cl6 0.2217 0.5416 0.9402
Cl7 0.2757 0.4839 0.5028
Cl8 0.3101 0.9084 0.3035
Cl9 0.3391 0.5442 0.2639
Cl10 0.4334 0.8542 0.7981
Cl11 0.4394 0.1772 0.5271
Cl12 0.4968 0.3237 0.8890
O1 0.0478 0.6454 0.8216
O2 0.1351 0.6138 0.1433
O3 0.2120 0.3593 0.1075
O4 0.2151 0.7782 0.5332
O5 0.2965 0.9544 0.6690
O6 0.4507 0.7624 0.6283
```

=====

no.,raw total energy (eV for the cell shown),energy of formation (eV/atom),theoretical density (Mg/m³)
1,-155.3,-0.550,1.13
2,-668.9,0.128,1.30
3,-673.6,0.086,1.39
4,-448.4,-1.190,1.58